Below is a relaxed YS crystal, with properties calculated at the r2SCAN level.

a = 3.9068 Å, b = 3.9068 Å, c = 3.9068 Å
α = 60.00°, β = 60.00°, γ = 60.00°
With the nearest neighbours (Å) after each atom.
Fractional positions:
Y: 0.0000 0.0000 0.0000  6 S 2.76
S: 0.5000 0.5000 0.5000  6 Y 2.76

Output
E (eV per atom): -16.416
E_form (meV per atom): -2242
Calculated density (g/cm3): 4.764
Size of the total moment (μB per formula unit): 0.000

Below is a relaxed Y2ZrS5 crystal, with properties calculated at the r2SCAN level.

a = 11.5847 Å, b = 7.7561 Å, c = 7.2634 Å
α = 90.00°, β = 90.00°, γ = 90.00°
With the nearest neighbours (Å) after each atom.
Fractional positions:
Y: 0.1791 0.0025 0.0214  8 S 2.81-2.98
Y: 0.1791 0.4975 0.0214  8 S 2.81-2.98
Y: 0.3209 0.5025 0.5214  8 S 2.81-2.98
Y: 0.3209 0.9975 0.5214  8 S 2.81-2.98
Y: 0.6791 0.0025 0.4786  8 S 2.81-2.98
Y: 0.6791 0.4975 0.4786  8 S 2.81-2.98
Y: 0.8209 0.5025 0.9786  8 S 2.81-2.98
Y: 0.8209 0.9975 0.9786  8 S 2.81-2.98
Zr: 0.0062 0.7500 0.5775  7 S 2.52-2.71
Zr: 0.4938 0.2500 0.0775  7 S 2.52-2.71
Zr: 0.5062 0.7500 0.9225  7 S 2.52-2.71
Zr: 0.9938 0.2500 0.4225  7 S 2.52-2.71
S: 0.0027 0.7500 0.9488  1 Zr 2.70, 4 Y 2.86-2.88
S: 0.0944 0.0367 0.6605  2 Zr 2.52-2.66, 1 Y 2.81
S: 0.0944 0.4633 0.6605  2 Zr 2.52-2.66, 1 Y 2.81
S: 0.1817 0.7500 0.3315  1 Zr 2.71, 4 Y 2.86-2.98
S: 0.2082 0.2500 0.3096  1 Zr 2.62, 4 Y 2.81-2.86
S: 0.2918 0.7500 0.8096  1 Zr 2.62, 4 Y 2.81-2.86
S: 0.3183 0.2500 0.8315  1 Zr 2.71, 4 Y 2.86-2.98
S: 0.4056 0.5367 0.1605  2 Zr 2.52-2.66, 1 Y 2.81
S: 0.4056 0.9633 0.1605  2 Zr 2.52-2.66, 1 Y 2.81
S: 0.4973 0.2500 0.4488  1 Zr 2.70, 4 Y 2.86-2.88
S: 0.5027 0.7500 0.5512  1 Zr 2.70, 4 Y 2.86-2.88
S: 0.5944 0.0367 0.8395  2 Zr 2.52-2.66, 1 Y 2.81
S: 0.5944 0.4633 0.8395  2 Zr 2.52-2.66, 1 Y 2.81
S: 0.6817 0.7500 0.1685  1 Zr 2.71, 4 Y 2.86-2.98
S: 0.7082 0.2500 0.1904  1 Zr 2.62, 4 Y 2.81-2.86
S: 0.7918 0.7500 0.6904  1 Zr 2.62, 4 Y 2.81-2.86
S: 0.8183 0.2500 0.6685  1 Zr 2.71, 4 Y 2.86-2.98
S: 0.9056 0.5367 0.3395  2 Zr 2.52-2.66, 1 Y 2.81
S: 0.9056 0.9633 0.3395  2 Zr 2.52-2.66, 1 Y 2.81
S: 0.9973 0.2500 0.0512  1 Zr 2.70, 4 Y 2.86-2.88

Output
E (eV per atom): -15.108
E_form (meV per atom): -2164
Calculated density (g/cm3): 4.370
Size of the total moment (μB per formula unit): 0.000